[1]
Crystalline Sc3Hg at its relaxed geometry, computed with meta-GGA r2SCAN.

Output
Formation energy (eV/atom): -0.2498
Total DFT energy (no corrections) (eV/atom): -21.1406
Magnetization (μB per atom): 0.2827

a = 4.4647 Å, b = 4.4647 Å, c = 4.4647 Å
α = 90.00°, β = 90.00°, γ = 90.00°
Space group Pm-3m (No. 221)
Symmetry-distinct sites (fractional):
Sc1 0.0000 0.0000 0.5000 x3
Hg1 0.5000 0.5000 0.5000 x1



[2]
Crystalline Sc3Hg at its relaxed geometry, computed with meta-GGA r2SCAN.

Output
Formation energy (eV/atom): -0.2709
Total DFT energy (no corrections) (eV/atom): -21.1617
Magnetization (μB per atom): 0.2505

a = 6.2882 Å, b = 6.2882 Å, c = 5.2129 Å
α = 90.00°, β = 90.00°, γ = 120.00°
Space group P6_3/mmc (No. 194)
Symmetry-distinct sites (fractional):
Sc1 0.1704 0.3408 0.2500 x6
Hg1 0.3333 0.6667 0.7500 x2



[3]
Crystalline Hg2TeSe at its relaxed geometry, computed with meta-GGA r2SCAN.

Output
Formation energy (eV/atom): -0.1978
Total DFT energy (no corrections) (eV/atom): -34.8139
Magnetization (μB per atom): 0.0000

a = 4.5212 Å, b = 4.5212 Å, c = 22.1115 Å
α = 90.00°, β = 90.00°, γ = 120.00°
Space group R3m (No. 160, hexagonal axes)
Symmetry-distinct sites (fractional):
Hg1 0.0000 0.0000 0.0000 x3
Hg2 0.0000 0.0000 0.4914 x3
Te1 0.0000 0.0000 0.6199 x3
Se1 0.0000 0.0000 0.1210 x3